(1)
Entry from Materials Project: an optimized crystal structure of Tm2Mo2C3 (PBE).

Summary:
Polymorph energy (0 for the lowest one), meV/atom: 0.0
Energy of formation from the pure elements, eV/atom: -0.3904
Volume, Å³/atom: 14.4

a = 6.0228 Å, b = 6.0228 Å, c = 5.6622 Å
α = 69.40°, β = 69.40°, γ = 31.89°
With the nearest neighbours (Å) after each atom.
Positions (direct):
C (0.0000, 0.0000, 0.0000)  2 Mo 2.06
C (0.2473, 0.2473, 0.2633)  3 Mo 2.10-2.17
C (0.7527, 0.7527, 0.7367)  3 Mo 2.10-2.17
Mo (0.8442, 0.8442, 0.3276)  4 C 2.06-2.17
Mo (0.1558, 0.1558, 0.6724)  4 C 2.06-2.17
Tm (0.3890, 0.3890, 0.8280)  5 C 2.41-2.50
Tm (0.6110, 0.6110, 0.1720)  5 C 2.41-2.50

(2)
Entry from Materials Project: an optimized crystal structure of UMoC2 (PBE).

Summary:
Energy of formation from the pure elements, eV/atom: -0.3001
Volume, Å³/atom: 12.6

a = 3.2229 Å, b = 5.6349 Å, c = 11.0859 Å
α = 90.00°, β = 90.00°, γ = 90.00°
With the nearest neighbours (Å) after each atom.
Positions (direct):
C (0.7500, 0.3382, 0.7441)  2 Mo 2.15-2.19, 2 U 2.39
C (0.7500, 0.8382, 0.7559)  2 Mo 2.15-2.19, 2 U 2.39
C (0.2500, 0.7506, 0.9930)  3 Mo 2.15-2.21, 1 U 2.38
C (0.2500, 0.6618, 0.2559)  2 Mo 2.15-2.19, 2 U 2.39
C (0.2500, 0.1618, 0.2441)  2 Mo 2.15-2.19, 2 U 2.39
C (0.2500, 0.2506, 0.5070)  3 Mo 2.15-2.21, 1 U 2.38
C (0.7500, 0.7494, 0.4930)  3 Mo 2.15-2.21, 1 U 2.38
C (0.7500, 0.2494, 0.0070)  3 Mo 2.15-2.21, 1 U 2.38
Mo (0.7500, 0.0790, 0.6012)  5 C 2.15-2.21
Mo (0.7500, 0.5790, 0.8988)  5 C 2.15-2.21
Mo (0.2500, 0.9210, 0.3988)  5 C 2.15-2.21
Mo (0.2500, 0.4210, 0.1012)  5 C 2.15-2.21
U (0.2500, 0.5798, 0.6420)  7 C 2.38-2.51
U (0.2500, 0.0798, 0.8580)  7 C 2.38-2.51
U (0.7500, 0.9202, 0.1420)  7 C 2.38-2.51
U (0.7500, 0.4202, 0.3580)  7 C 2.38-2.51

(3)
Entry from Materials Project: an optimized crystal structure of Mo2W2C3 (PBE).

Summary:
Size of the total moment, μB/atom: 0.00
Energy of formation from the pure elements, eV/atom: 0.1200
Volume, Å³/atom: 11.5

a = 2.9490 Å, b = 5.1746 Å, c = 6.0636 Å
α = 115.49°, β = 75.93°, γ = 90.00°
With the nearest neighbours (Å) after each atom.
Positions (direct):
C (0.7456, 0.7570, 0.5088)  3 W 2.14-2.19, 3 Mo 2.15-2.22
C (0.0000, 0.5000, 0.0000)  4 W 2.15, 2 Mo 2.16
C (0.2544, 0.2430, 0.4912)  3 W 2.14-2.19, 3 Mo 2.15-2.22
Mo (0.1231, 0.7102, 0.7537)  4 C 2.15-2.22
Mo (0.8769, 0.2898, 0.2463)  4 C 2.15-2.22
W (0.6235, 0.2098, 0.7531)  5 C 2.14-2.19
W (0.3765, 0.7902, 0.2469)  5 C 2.14-2.19

(4)
Entry from Materials Project: an optimized crystal structure of YMoC2 (PBE).

Summary:
Energy of formation from the pure elements, eV/atom: -0.2369
Volume, Å³/atom: 13.1

a = 3.4041 Å, b = 5.7150 Å, c = 10.8020 Å
α = 90.00°, β = 90.00°, γ = 90.00°
With the nearest neighbours (Å) after each atom.
Positions (direct):
Mo (0.7500, 0.5973, 0.8906)  5 C 2.04-2.28
Mo (0.2500, 0.9027, 0.3906)  5 C 2.04-2.28
Mo (0.7500, 0.0973, 0.6094)  5 C 2.04-2.28
Mo (0.2500, 0.4027, 0.1094)  5 C 2.04-2.28
C (0.7500, 0.3410, 0.7472)  2 Mo 2.04-2.13
C (0.2500, 0.7228, 0.9840)  3 Mo 2.10-2.28
C (0.2500, 0.6590, 0.2528)  2 Mo 2.04-2.13
C (0.7500, 0.2772, 0.0160)  3 Mo 2.10-2.28
C (0.2500, 0.1590, 0.2472)  2 Mo 2.04-2.13
C (0.7500, 0.8410, 0.7528)  2 Mo 2.04-2.13
C (0.2500, 0.2228, 0.5160)  3 Mo 2.10-2.28
C (0.7500, 0.7772, 0.4840)  3 Mo 2.10-2.28
Y (0.7500, 0.9145, 0.1374)  7 C 2.45-2.62
Y (0.2500, 0.5855, 0.6374)  7 C 2.45-2.62
Y (0.7500, 0.4145, 0.3626)  7 C 2.45-2.62
Y (0.2500, 0.0855, 0.8626)  7 C 2.45-2.62

(5)
Entry from Materials Project: an optimized crystal structure of ZrMoC2 (PBE).

Summary:
Size of the total moment, μB/atom: 0.00
Energy of formation from the pure elements, eV/atom: -0.3506
Volume, Å³/atom: 11.7

a = 5.5681 Å, b = 5.5681 Å, c = 5.5681 Å
α = 33.41°, β = 33.41°, γ = 33.41°
With the nearest neighbours (Å) after each atom.
Positions (direct):
Mo (0.0000, 0.0000, 0.0000)  6 C 2.22
C (0.2556, 0.2556, 0.2556)  3 Mo 2.22, 3 Zr 2.32
C (0.7444, 0.7444, 0.7444)  3 Mo 2.22, 3 Zr 2.32
Zr (0.5000, 0.5000, 0.5000)  6 C 2.32

(6)
Entry from Materials Project: an optimized crystal structure of Zr4MoC5 (PBE).

Summary:
Size of the total moment, μB/atom: 0.00
Energy of formation from the pure elements, eV/atom: -0.6041
Volume, Å³/atom: 12.5

a = 13.5172 Å, b = 13.5172 Å, c = 13.5172 Å
α = 13.98°, β = 13.98°, γ = 13.98°
With the nearest neighbours (Å) after each atom.
Positions (direct):
Zr (0.8975, 0.8975, 0.8975)  6 C 2.34-2.35
Zr (0.7008, 0.7008, 0.7008)  6 C 2.34-2.35
Zr (0.2992, 0.2992, 0.2992)  6 C 2.34-2.35
Zr (0.1025, 0.1025, 0.1025)  6 C 2.34-2.35
Mo (0.5000, 0.5000, 0.5000)  6 C 2.24
C (0.8038, 0.8038, 0.8038)  3 Mo 2.24, 3 Zr 2.35
C (0.5982, 0.5982, 0.5982)  6 Zr 2.34-2.35
C (0.1962, 0.1962, 0.1962)  3 Mo 2.24, 3 Zr 2.35
C (0.0000, 0.0000, 0.0000)  6 Zr 2.34
C (0.4018, 0.4018, 0.4018)  6 Zr 2.34-2.35

(7)
Entry from Materials Project: an optimized crystal structure of NaC2N3 (PBE).

Summary:
Polymorph energy (0 for the lowest one), meV/atom: 0.0
Energy of formation from the pure elements, eV/atom: -0.3371
Energy with MP2020 corrections, eV/atom: -7.80
Volume, Å³/atom: 13.1

a = 23.4356 Å, b = 3.6415 Å, c = 11.2440 Å
α = 80.47°, β = 90.00°, γ = 90.00°
With the nearest neighbours (Å) after each atom.
Positions (direct):
C (0.8533, 0.1270, 0.1265)  3 N 1.36
C (0.1467, 0.8730, 0.8735)  3 N 1.36
C (0.5285, 0.8009, 0.8777)  2 N 1.18-1.30
C (0.6467, 0.1270, 0.6265)  3 N 1.36
C (0.9715, 0.8009, 0.3777)  2 N 1.18-1.30
C (0.3533, 0.8730, 0.3735)  3 N 1.36
C (0.6172, 0.0236, 0.8236)  3 N 1.36
C (0.9061, 0.9581, 0.9729)  2 N 1.19-1.29
C (0.2050, 0.7247, 0.7251)  3 N 1.35-1.37
C (0.1172, 0.9764, 0.6764)  3 N 1.36
C (0.7050, 0.2753, 0.7749)  3 N 1.35-1.37
C (0.5939, 0.9581, 0.4729)  2 N 1.19-1.29
C (0.2950, 0.7247, 0.2251)  3 N 1.35-1.37
C (0.0285, 0.1991, 0.6223)  2 N 1.18-1.30
C (0.4061, 0.0419, 0.5271)  2 N 1.19-1.29
C (0.7922, 0.5483, 0.7335)  2 N 1.19-1.30
C (0.4715, 0.1991, 0.1223)  2 N 1.18-1.30
C (0.0939, 0.0419, 0.0271)  2 N 1.19-1.29
C (0.2922, 0.4517, 0.7665)  2 N 1.19-1.30
C (0.7078, 0.5483, 0.2335)  2 N 1.19-1.30
C (0.2078, 0.4517, 0.2665)  2 N 1.19-1.30
C (0.8828, 0.0236, 0.3236)  3 N 1.36
C (0.3828, 0.9764, 0.1764)  3 N 1.36
C (0.7950, 0.2753, 0.2749)  3 N 1.35-1.37
N (0.0178, 0.7085, 0.3522)  1 C 1.18
N (0.9482, 0.8447, 0.9325)  1 C 1.19
N (0.1038, 0.9769, 0.7941)  2 C 1.36
N (0.6975, 0.2678, 0.6557)  2 C 1.36
N (0.1413, 0.9155, 0.9911)  2 C 1.29-1.36
N (0.6038, 0.0231, 0.7059)  2 C 1.36
N (0.8962, 0.0231, 0.2059)  2 C 1.36
N (0.6413, 0.0845, 0.5089)  2 C 1.29-1.36
N (0.1675, 0.8568, 0.6372)  2 C 1.35-1.36
N (0.9214, 0.8964, 0.4116)  2 C 1.30-1.36
N (0.7454, 0.4165, 0.3143)  2 C 1.30-1.37
N (0.7546, 0.4165, 0.8143)  2 C 1.30-1.37
N (0.3587, 0.9155, 0.4911)  2 C 1.29-1.36
N (0.3962, 0.9769, 0.2941)  2 C 1.36
N (0.9822, 0.2915, 0.6478)  1 C 1.18
N (0.3279, 0.3184, 0.8353)  1 C 1.19
N (0.3025, 0.7322, 0.3443)  2 C 1.36
N (0.5518, 0.8447, 0.4325)  1 C 1.19
N (0.6675, 0.1432, 0.8628)  2 C 1.35-1.36
N (0.6721, 0.6816, 0.1647)  1 C 1.19
N (0.5786, 0.8964, 0.9116)  2 C 1.30-1.36
N (0.8587, 0.0845, 0.0089)  2 C 1.29-1.36
N (0.8025, 0.2678, 0.1557)  2 C 1.36
N (0.2454, 0.5835, 0.1857)  2 C 1.30-1.37
N (0.8279, 0.6816, 0.6647)  1 C 1.19
N (0.4822, 0.7085, 0.8522)  1 C 1.18
N (0.3325, 0.8568, 0.1372)  2 C 1.35-1.36
N (0.1975, 0.7322, 0.8443)  2 C 1.36
N (0.5178, 0.2915, 0.1478)  1 C 1.18
N (0.4214, 0.1036, 0.0884)  2 C 1.30-1.36
N (0.2546, 0.5835, 0.6857)  2 C 1.30-1.37
N (0.8325, 0.1432, 0.3628)  2 C 1.35-1.36
N (0.0786, 0.1036, 0.5884)  2 C 1.30-1.36
N (0.1721, 0.3184, 0.3353)  1 C 1.19
N (0.4482, 0.1553, 0.5675)  1 C 1.19
N (0.0518, 0.1553, 0.0675)  1 C 1.19
Na (0.1132, 0.7683, 0.4252)  4 N 2.40-2.51
Na (0.6132, 0.2317, 0.0748)  4 N 2.40-2.51
Na (0.3868, 0.7683, 0.9252)  4 N 2.40-2.51
Na (0.5091, 0.5875, 0.6489)  4 N 2.42-2.65
Na (0.9909, 0.5875, 0.1489)  4 N 2.42-2.65
Na (0.2589, 0.1962, 0.5096)  6 N 2.57-2.81
Na (0.2411, 0.1962, 0.0096)  6 N 2.57-2.81
Na (0.8868, 0.2317, 0.5748)  4 N 2.40-2.51
Na (0.7589, 0.8038, 0.9904)  6 N 2.57-2.81
Na (0.7411, 0.8038, 0.4904)  6 N 2.57-2.81
Na (0.0091, 0.4125, 0.8511)  4 N 2.42-2.65
Na (0.4909, 0.4125, 0.3511)  4 N 2.42-2.65

no.,DFT total energy (eV/cell)
1,-61.1
2,-167.2
3,-74.5
4,-146.9
5,-39.3
6,-97.2
7,-548.7